CuBi12Ir3 | PBE-GGA | relaxed

The value obtained for the magnetic moment is 0.004 μB per formula unit. The formation energy is 0.013 eV per atom. For the theoretical density, the calculation gives 11.6 Mg/m³.

The structure in CIF format:
```
data_CuBi12Ir3
_cell_length_a 9.1269
_cell_length_b 4.2424
_cell_length_c 11.6855
_cell_angle_alpha 90.00
_cell_angle_beta 90.27
_cell_angle_gamma 90.00
_space_group_name_H-M_alt 'P 1 m 1'
_space_group_IT_number 6
_space_group_name_Hall 'P -2y'
loop_
_atom_site_label
_atom_site_type_symbol
_atom_site_fract_x
_atom_site_fract_y
_atom_site_fract_z
Cu1 Cu 0.0000 0.0000 0.0000
Bi1 Bi 0.0153 0.5000 0.5734
Bi2 Bi 0.1003 0.5000 0.8633
Bi3 Bi 0.1995 0.0000 0.3643
Bi4 Bi 0.2972 0.0000 0.0681
Bi5 Bi 0.3110 0.0000 0.6573
Bi6 Bi 0.4971 0.5000 0.2974
Bi7 Bi 0.5218 0.5000 0.8872
Bi8 Bi 0.6107 0.5000 0.5880
Bi9 Bi 0.6919 0.0000 0.0897
Bi10 Bi 0.7962 0.0000 0.3797
Bi11 Bi 0.8026 0.0000 0.7961
Bi12 Bi 0.9936 0.5000 0.1593
Ir1 Ir 0.3046 0.5000 0.4995
Ir2 Ir 0.5044 0.0000 0.4558
Ir3 Ir 0.8173 0.5000 0.9595
```